A plane-wave DFT calculation with PBE was carried out for a relaxed structure of AlGeMo.

The structure in extended XYZ format:
```
9
Lattice="4.050 1.109 -2.426 -4.274 -0.008 -2.292 -0.847 6.494 1.556" Properties=species:S:1:pos:R:3 pbc="T T T"
Ge -0.694 4.878 -1.321
Ge -2.129 0.001 -1.161
Ge -2.521 2.709 -2.971
Mo 2.088 5.251 -1.366
Mo 0.643 0.371 -1.200
Mo 0.249 3.082 -3.022
Al -1.039 2.349 -0.660
Al -0.867 0.729 -3.516
Al -3.438 4.509 -1.277
```

Calculated values
The formation energy from the elements is -0.2763 eV/atom. For the uncorrected energy, the calculation gives -6.681 eV/atom.

---

A plane-wave DFT calculation with PBE was carried out for a relaxed structure of NaAlGe.

The structure in extended XYZ format:
```
6
Lattice="-3.440 2.298 0.515 -1.607 -2.957 2.460 3.084 3.282 5.960" Properties=species:S:1:pos:R:3 pbc="T T T"
Ge -1.057 1.854 1.538
Ge 1.617 1.098 5.908
Na 0.250 3.245 4.064
Na 0.310 -0.293 3.382
Al 0.000 0.000 0.000
Al -2.523 -0.330 1.487
```

Calculated values
The formation energy from the elements is -0.1894 eV/atom. For the uncorrected energy, the calculation gives -3.420 eV/atom.

---

A plane-wave DFT calculation with PBE was carried out for a relaxed structure of Na2AlGe7O16.

The structure in extended XYZ format:
```
26
Lattice="0.003 -0.015 -7.544 -3.518 -6.747 2.424 -4.237 6.740 1.402" Properties=species:S:1:pos:R:3 pbc="T T T"
O -1.379 -2.238 -4.812
O -1.498 -1.441 -1.961
O -4.227 5.012 -5.806
O -6.231 1.390 -1.756
O -3.280 -0.202 -3.879
O -3.699 -2.899 -3.270
O -6.316 -1.264 1.842
O -1.446 1.215 -5.575
O -3.866 -2.432 0.678
O -4.482 0.160 0.145
O -6.151 -1.830 -1.078
O -6.383 2.195 1.090
O -3.905 2.441 -4.397
O -4.075 2.911 -0.437
O -1.598 1.799 -2.631
O -3.515 -5.066 2.084
Na -2.095 -0.196 0.097
Na -5.660 0.132 -3.844
Al -4.208 4.600 0.022
Ge -2.372 -1.694 -3.449
Ge -3.670 -4.200 0.502
Ge -5.307 1.708 -0.237
Ge -2.483 1.403 -4.111
Ge -4.082 4.221 -4.251
Ge -3.531 -4.607 -3.727
Ge -5.316 -1.413 0.424
```

Calculated values
The formation energy from the elements is -2.1978 eV/atom. For the uncorrected energy, the calculation gives -6.310 eV/atom.

---

A plane-wave DFT calculation with PBE was carried out for a relaxed structure of Na2Al2Ge3O12.

The structure in extended XYZ format:
```
38
Lattice="-4.629 0.186 12.440 -4.371 7.261 5.368 -6.709 -5.787 4.653" Properties=species:S:1:pos:R:3 pbc="T T T"
O -10.452 2.167 11.540
O -9.534 2.681 14.122
O -8.833 0.117 12.861
O -7.810 -0.695 7.726
O -8.439 -3.783 7.612
O -9.913 0.423 9.174
O -7.256 1.619 9.457
O -7.713 -1.048 10.464
O -4.236 1.390 4.203
O -9.387 -2.593 15.847
O -11.368 3.102 16.134
O -5.002 1.533 11.398
O -8.226 -2.570 12.915
O -5.368 -0.210 6.371
O -2.940 -0.968 5.071
O -6.006 -0.812 12.826
O -8.999 5.788 14.200
O -12.098 2.008 18.704
O -7.608 2.631 12.142
O -12.575 -0.536 17.415
O -5.892 3.912 10.143
O -3.120 1.439 6.833
O -11.079 0.405 15.133
O -4.826 3.954 7.175
Na -7.068 3.406 7.962
Na -6.763 -2.638 9.006
Na -10.257 -1.423 13.892
Na -7.337 3.977 14.058
Ge -8.163 0.136 9.247
Ge -5.864 5.447 11.022
Ge -8.167 -4.122 12.068
Ge -3.914 0.412 5.620
Ge -11.067 1.472 10.026
Ge -9.094 1.834 12.633
Al -7.099 0.099 6.299
Al -7.645 -1.035 12.225
Al -6.446 2.372 10.843
Al -10.217 1.883 15.559
```

Calculated values
The formation energy from the elements is -2.0448 eV/atom. For the uncorrected energy, the calculation gives -5.999 eV/atom.

---

A plane-wave DFT calculation with PBE was carried out for a relaxed structure of Na2AlGeP3O12.

The structure in extended XYZ format:
```
114
Lattice="8.483 -0.033 0.013 -4.270 7.330 -0.013 0.032 -0.019 21.593" Properties=species:S:1:pos:R:3 pbc="T T T"
O 0.900 3.692 1.638
O 3.652 5.829 6.645
O 0.565 6.258 1.629
O 5.173 1.225 16.041
O -0.500 1.527 4.179
O -3.174 6.054 14.886
O 2.656 6.957 14.975
O 0.609 3.507 16.332
O 3.241 3.680 13.887
O 3.191 1.181 11.339
O 1.494 0.144 12.737
O -2.633 7.028 4.089
O -2.759 7.110 19.623
O 5.217 3.644 3.051
O 0.977 6.092 10.240
O -1.453 5.074 16.333
O 3.613 3.790 5.249
O 2.654 2.094 0.584
O 3.705 1.037 19.947
O 2.630 2.659 3.090
O 5.803 2.674 13.811
O -0.559 3.395 21.036
O -0.568 3.504 5.544
O 1.007 1.210 17.441
O 3.161 6.063 4.137
O 0.529 6.401 7.732
O 3.675 5.919 12.745
O 1.067 3.606 7.696
O -0.628 6.238 12.438
O 1.563 5.122 21.000
O -1.586 4.542 7.773
O -0.999 6.128 21.076
O 3.349 3.561 19.941
O 4.849 1.059 9.143
O 0.559 1.519 14.934
O 3.332 1.221 5.236
O 7.589 1.113 12.751
O 4.819 5.940 1.941
O 1.464 5.026 5.536
O 3.742 3.942 11.380
O -0.498 6.390 18.570
O 5.151 3.579 9.151
O -0.598 1.357 19.639
O 2.723 7.146 8.843
O 5.722 2.214 5.245
O 1.482 4.662 12.434
O 0.542 3.392 10.203
O 1.560 0.259 6.609
O 0.910 6.027 16.340
O -0.924 6.028 5.537
O 2.787 2.626 9.144
O 5.307 1.157 0.507
O 5.737 2.559 19.939
O 1.640 4.561 18.493
O 3.682 0.947 13.847
O 0.908 1.164 1.949
O 0.595 1.377 8.831
O -1.520 4.731 1.641
O -1.610 5.107 10.279
O 4.783 0.944 3.014
O 3.334 6.084 19.627
O 6.903 0.192 17.494
O 4.785 5.807 17.405
O -1.050 3.629 18.528
O 7.028 0.178 1.955
O -3.340 6.140 8.827
O 5.880 2.113 11.304
O 2.753 2.264 16.045
O -0.908 3.669 12.425
O 7.481 1.232 6.698
O 4.770 3.953 0.543
O 4.838 3.792 16.032
Na 0.036 -0.017 21.567
Na 5.823 0.174 19.794
Na 1.550 2.640 5.391
Na 4.246 2.416 7.176
Na 0.006 4.865 14.365
Na 4.259 2.402 17.972
Na 4.229 7.284 10.771
Na 2.717 4.625 16.187
Na -0.013 4.869 3.569
Na 6.958 2.177 8.998
Na -1.555 7.092 1.783
Na -2.690 5.089 12.580
P 7.212 2.062 5.443
P 1.777 2.477 1.836
P -2.463 4.926 9.025
P -1.810 7.291 5.403
P 5.490 0.313 1.821
P 3.055 0.319 12.627
P 6.703 2.376 12.617
P -1.185 2.767 19.816
P 1.250 2.761 9.010
P 3.025 5.201 5.425
P 2.972 4.510 12.632
P 6.050 0.011 16.239
P 1.208 6.949 9.020
P 2.463 4.825 19.806
P 1.238 2.067 16.221
P 5.448 4.501 1.831
P -2.990 5.209 16.199
P -1.268 6.958 19.821
Al 0.035 4.869 11.233
Al 4.270 2.374 14.840
Al 0.065 -0.012 18.434
Al 4.275 2.421 4.044
Al -0.003 4.841 0.436
Al 4.240 7.256 7.638
Ge -0.034 4.851 17.581
Ge 4.177 7.285 3.190
Ge -0.021 4.910 6.785
Ge 4.251 2.443 21.188
Ge 4.207 2.403 10.392
Ge 0.009 0.028 13.986
```

Calculated values
The formation energy from the elements is -2.6844 eV/atom. For the uncorrected energy, the calculation gives -6.810 eV/atom.

---

A plane-wave DFT calculation with PBE was carried out for a relaxed structure of Na3AlGe3P6O24.

The structure in extended XYZ format:
```
111
Lattice="8.415 -0.018 0.003 -4.223 7.280 -0.001 0.006 -0.001 21.714" Properties=species:S:1:pos:R:3 pbc="T T T"
Ge -0.026 4.887 6.787
Ge 4.214 2.412 21.319
Ge 0.011 0.006 14.020
Ge -0.045 4.853 17.699
Ge 0.007 0.008 18.557
Ge 4.169 2.416 10.469
Ge -0.015 4.849 0.464
Ge 4.190 7.246 3.170
Ge -0.009 4.859 11.315
O 3.157 1.173 11.394
O 3.590 3.771 5.268
O 5.107 1.247 16.122
O 0.909 6.008 16.446
O 0.512 6.351 7.801
O -1.040 6.063 21.155
O 0.877 1.170 1.956
O 1.049 3.610 7.769
O 1.455 4.646 12.516
O 1.453 5.006 5.578
O 5.827 2.135 11.363
O -0.911 6.000 5.580
O -1.471 4.657 1.649
O 4.715 5.755 17.534
O -0.553 6.370 18.637
O 3.654 3.932 11.414
O 5.117 3.575 9.215
O 0.523 1.498 15.030
O 3.302 1.230 5.263
O 3.309 3.582 20.052
O 3.644 1.065 20.059
O -0.500 1.517 4.210
O 4.773 5.910 1.947
O 2.709 7.108 8.898
O 0.552 6.203 1.647
O 3.642 0.936 13.916
O 5.661 2.224 5.273
O 3.150 6.050 4.167
O 7.526 1.156 12.810
O -0.561 1.366 19.754
O 2.633 6.933 15.054
O 3.622 5.917 12.815
O 4.766 0.929 3.053
O 2.719 2.259 16.126
O 4.782 3.796 16.121
O 1.025 1.210 17.554
O -1.583 5.126 10.318
O 5.763 2.666 13.900
O -0.574 6.207 12.518
O 0.893 3.680 1.652
O 1.012 6.058 10.320
O 6.954 0.167 1.958
O 2.765 2.627 9.209
O 4.751 3.937 0.527
O 5.254 1.173 0.530
O 3.301 6.096 19.749
O 3.627 5.794 6.690
O 6.846 0.261 17.556
O 1.563 0.276 6.669
O 1.462 0.172 12.809
O -2.750 7.078 19.747
O 4.788 1.062 9.210
O 0.511 3.352 10.285
O 5.205 3.642 3.054
O 5.666 2.599 20.058
O -3.168 6.069 15.029
O 1.606 4.567 18.604
O 1.556 5.124 21.142
O -1.049 3.615 18.636
O 2.606 2.668 3.089
O -2.640 6.980 4.164
O 0.578 3.493 16.441
O 0.580 1.379 8.893
O -1.573 4.515 7.823
O -0.561 3.483 5.588
O -1.449 5.057 16.443
O -0.539 3.350 21.158
O -0.895 3.684 12.510
O 2.615 2.138 0.547
O 3.191 3.669 13.952
O 7.408 1.245 6.731
O -3.320 6.115 8.885
P 1.206 2.066 16.291
P 3.016 5.185 5.441
P 5.406 4.499 1.823
P 1.197 6.919 9.060
P 5.990 0.031 16.297
P 7.153 2.058 5.454
P 1.784 2.421 1.828
P -2.976 5.191 16.285
P 1.239 2.754 9.051
P 2.421 4.834 19.913
P 2.988 4.507 12.693
P 3.001 0.325 12.688
P 6.626 2.412 12.683
P -1.799 7.261 5.434
P -2.443 4.896 9.061
P -1.219 2.756 19.919
P -1.218 6.948 19.917
P 5.416 0.327 1.825
Al 4.243 2.409 4.036
Al 4.214 7.226 7.656
Al 4.229 2.381 14.902
Na 4.191 7.262 0.025
Na 4.239 2.369 18.110
Na 1.539 2.634 5.395
Na -0.041 4.894 3.585
Na 4.206 2.416 7.192
Na -0.059 4.854 14.452
Na 6.889 2.170 9.027
Na 2.678 4.603 16.270
Na -4.188 7.234 10.855
```

Calculated values
The formation energy from the elements is -2.5790 eV/atom. For the uncorrected energy, the calculation gives -6.804 eV/atom.